VASP calculation (PBE with a Hubbard U) on crystalline Li2Fe3SnO8 at its relaxed geometry. Values from VASP.

Computed properties:
* crystal system: monoclinic
* spin magnetization: 48.0 μB per cell
* energy of formation: -1750.5 meV/atom
* excess energy over the best structure of this formula in the dataset: 0.110 eV per atom
* MP2020-corrected energy: -6.9521 eV/atom

```
&SYSTEM
  ibrav = 0, nat = 56, ntyp = 4
/
ATOMIC_SPECIES
Li 6.94 Li.upf
Fe 55.84 Fe.upf
Sn 118.71 Sn.upf
O 16.00 O.upf
CELL_PARAMETERS angstrom
8.522 0.000 0.000
0.000 8.531 0.000
0.000 0.039 8.538
ATOMIC_POSITIONS angstrom
Li 1.064 3.239 1.072
Li 2.154 2.163 4.280
Li 6.392 2.182 8.532
Li 7.470 1.085 5.370
Li 3.210 7.486 3.167
Li 2.131 6.389 0.005
Li 6.415 6.408 4.258
Li 5.325 5.332 7.466
Fe 3.240 3.328 7.453
Fe 5.295 3.274 5.400
Fe 7.539 3.216 3.154
Fe 0.968 1.087 7.410
Fe 3.206 1.021 1.172
Fe 5.269 0.978 3.194
Fe 1.008 7.593 5.344
Fe 7.467 7.550 7.365
Fe 5.229 7.484 1.127
Fe 3.278 5.355 5.384
Fe 1.034 5.297 3.137
Fe 7.501 5.243 1.084
Sn 4.243 4.257 2.164
Sn 4.242 0.074 6.433
Sn 8.502 8.496 2.105
Sn 8.503 4.314 6.374
O 7.443 3.347 1.189
O 0.976 3.444 3.220
O 3.377 3.298 5.416
O 5.213 3.217 7.259
O 7.270 3.219 5.246
O 5.428 3.140 3.365
O 3.190 3.104 0.938
O 1.163 3.137 7.465
O 7.390 1.198 3.202
O 5.334 1.265 5.245
O 3.077 1.240 7.587
O 1.175 1.082 0.973
O 3.295 1.092 3.081
O 5.232 0.993 1.167
O 7.580 0.977 7.501
O 1.076 0.992 5.451
O 5.336 7.579 3.087
O 3.319 7.594 1.037
O 0.971 7.578 7.371
O 7.556 7.479 5.457
O 5.436 7.488 7.565
O 7.338 7.330 0.950
O 1.074 7.305 3.293
O 3.129 7.372 5.336
O 5.423 5.433 1.073
O 7.451 5.467 7.600
O 1.167 5.430 5.172
O 3.010 5.351 3.291
O 0.952 5.353 1.279
O 7.638 5.273 3.121
O 5.237 5.127 5.318
O 3.182 5.224 7.348
```